No. 1
# SrAl4O7 (GGA-PBE, relaxed)
data_SrAl4O7
_chemical_formula_sum 'Sr4 Al16 O28'
_space_group_name_H-M_alt 'C m m e'
_space_group_IT_number 67
_space_group_name_Hall '-C 2a 2'
_cell_length_a 9.2577
_cell_length_b 13.5460
_cell_length_c 4.8409
_cell_angle_alpha 90.00
_cell_angle_beta 90.00
_cell_angle_gamma 90.00
loop_
_atom_site_label
_atom_site_type_symbol
_atom_site_fract_x
_atom_site_fract_y
_atom_site_fract_z
_atom_site_occupancy
Sr1 Sr 0.2500 0.2500 0.0000 1
Al1 Al 0.0000 0.0000 0.0000 1
Al2 Al 0.0000 0.1307 0.4436 1
Al3 Al 0.2500 0.0000 0.5000 1
O1 O 0.0000 0.1165 0.7984 1
O2 O 0.0000 0.2500 0.3216 1
O3 O 0.1426 0.0696 0.2677 1
# - V: 12.65 A^3/atom
# - Total energy: -7.2042 eV/atom
# - ρ: 3.4 g/cm³
# - Energy relative to the elements: -3.329 eV per atom


No. 2
# SrAl12O19 (GGA-PBE, relaxed)
data_SrAl12O19
_chemical_formula_sum 'Sr2 Al24 O38'
_space_group_name_H-M_alt 'P 63/m m c'
_space_group_IT_number 194
_space_group_name_Hall '-P 6c 2c'
_cell_length_a 5.6266
_cell_length_b 5.6266
_cell_length_c 22.1598
_cell_angle_alpha 90.00
_cell_angle_beta 90.00
_cell_angle_gamma 120.00
loop_
_atom_site_label
_atom_site_type_symbol
_atom_site_fract_x
_atom_site_fract_y
_atom_site_fract_z
_atom_site_occupancy
Sr1 Sr 0.3333 0.6667 0.2500 1
Al1 Al 0.0000 0.0000 0.0000 1
Al2 Al 0.0000 0.0000 0.2500 1
Al3 Al 0.1683 0.3365 0.1088 1
Al4 Al 0.3333 0.6667 0.5282 1
Al5 Al 0.3333 0.6667 0.6904 1
O1 O 0.0000 0.0000 0.1493 1
O2 O 0.0049 0.5025 0.1482 1
O3 O 0.1549 0.3099 0.5519 1
O4 O 0.1816 0.3632 0.7500 1
O5 O 0.3333 0.6667 0.0543 1
# - V: 9.49 A^3/atom
# - Total energy: -7.4254 eV/atom
# - ρ: 3.9 g/cm³
# - Energy relative to the elements: -3.438 eV per atom


No. 3
# Sr12Al14O33 (GGA-PBE, relaxed)
data_Sr12Al14O33
_chemical_formula_sum 'Sr24 Al28 O66'
_space_group_name_H-M_alt 'I -4'
_space_group_IT_number 82
_space_group_name_Hall 'I -4'
_cell_length_a 12.4656
_cell_length_b 12.4656
_cell_length_c 12.3923
_cell_angle_alpha 90.00
_cell_angle_beta 90.00
_cell_angle_gamma 90.00
loop_
_atom_site_label
_atom_site_type_symbol
_atom_site_fract_x
_atom_site_fract_y
_atom_site_fract_z
_atom_site_occupancy
Sr1 Sr 0.0000 0.0000 0.1829 1
Sr2 Sr 0.0000 0.5000 0.5197 1
Sr3 Sr 0.1053 0.2457 0.3779 1
Sr4 Sr 0.1402 0.7550 0.8773 1
Al1 Al 0.0000 0.0000 0.5000 1
Al2 Al 0.0000 0.5000 0.2500 1
Al3 Al 0.0154 0.7682 0.6429 1
Al4 Al 0.0173 0.7308 0.1081 1
Al5 Al 0.1263 0.2503 0.8747 1
O1 O 0.0000 0.0000 0.0000 1
O2 O 0.0370 0.2032 0.7741 1
O3 O 0.0386 0.2985 0.9774 1
O4 O 0.0474 0.8927 0.5808 1
O5 O 0.0482 0.5993 0.1599 1
O6 O 0.0661 0.3160 0.5651 1
O7 O 0.0668 0.1960 0.1918 1
O8 O 0.1455 0.7118 0.6728 1
O9 O 0.1505 0.7810 0.0827 1
# - V: 16.32 A^3/atom
# - Total energy: -7.0193 eV/atom
# - ρ: 3.4 g/cm³
# - Energy relative to the elements: -3.404 eV per atom


No. 4
# Sr2TaAlO6 (GGA-PBE, relaxed)
data_Sr2TaAlO6
_chemical_formula_sum 'Sr2 Ta1 Al1 O6'
_space_group_name_H-M_alt 'P 4/m m m'
_space_group_IT_number 123
_space_group_name_Hall '-P 4 2'
_cell_length_a 3.9657
_cell_length_b 3.9657
_cell_length_c 7.8886
_cell_angle_alpha 90.00
_cell_angle_beta 90.00
_cell_angle_gamma 90.00
loop_
_atom_site_label
_atom_site_type_symbol
_atom_site_fract_x
_atom_site_fract_y
_atom_site_fract_z
_atom_site_occupancy
Sr1 Sr 0.0000 0.0000 0.2157 1
Ta1 Ta 0.5000 0.5000 0.5000 1
Al1 Al 0.5000 0.5000 0.0000 1
O1 O 0.0000 0.5000 0.0000 1
O2 O 0.0000 0.5000 0.5000 1
O3 O 0.5000 0.5000 0.2492 1
# - V: 12.41 A^3/atom
# - Total energy: -7.8902 eV/atom
# - ρ: 6.4 g/cm³
# - Energy relative to the elements: -3.435 eV per atom